First-principles (GGA+U) data for a geometry-optimized Sr2FeOsO6 structure, as listed in the Materials Project database.

```
data_Sr2FeOsO6
_symmetry_space_group_name_H-M 'R -3 m'
_symmetry_Int_Tables_number 166
_symmetry_space_group_name_Hall '-R 3 2"'
_cell_length_a 5.6330
_cell_length_b 5.6330
_cell_length_c 27.5842
_cell_angle_alpha 90.00
_cell_angle_beta 90.00
_cell_angle_gamma 120.00
loop_
_atom_site_label
_atom_site_type_symbol
_atom_site_fract_x
_atom_site_fract_y
_atom_site_fract_z
Sr1 Sr 0.0000 0.0000 0.1237
Sr2 Sr 0.0000 0.0000 0.3738
Fe1 Fe 0.0000 0.0000 0.2487
Os1 Os 0.0000 0.0000 0.0000
Os2 Os 0.0000 0.0000 0.5000
O1 O 0.0035 0.5018 0.6249
O2 O 0.0049 0.5025 0.1256
```

Output
**Formation energy**: -224.4 kJ per mole of atoms

---

First-principles (GGA+U) data for a geometry-optimized Li4V3P8O29 structure, as listed in the Materials Project database.

```
data_Li4V3P8O29
_symmetry_space_group_name_H-M 'P 1'
_symmetry_Int_Tables_number 1
_symmetry_space_group_name_Hall 'P 1'
_cell_length_a 9.737
_cell_length_b 9.750
_cell_length_c 14.187
_cell_angle_alpha 89.19
_cell_angle_beta 89.55
_cell_angle_gamma 60.25
loop_
_atom_site_label
_atom_site_type_symbol
_atom_site_fract_x
_atom_site_fract_y
_atom_site_fract_z
Li1 Li 0.000 0.000 0.000
Li2 Li 0.001 0.446 0.507
Li3 Li 0.135 0.456 0.003
Li4 Li 0.235 0.675 0.881
Li5 Li 0.596 0.859 0.003
Li6 Li 0.679 0.091 0.878
Li7 Li 0.818 0.099 0.387
Li8 Li 0.909 0.772 0.449
V1 V 0.344 0.341 0.199
V2 V 0.346 0.777 0.685
V3 V 0.470 0.207 0.687
V4 V 0.474 0.771 0.203
V5 V 0.906 0.341 0.697
V6 V 0.909 0.208 0.191
P1 P 0.001 0.999 0.782
P2 P 0.126 0.855 0.284
P3 P 0.139 0.453 0.789
P4 P 0.213 0.555 0.606
P5 P 0.228 0.686 0.101
P6 P 0.239 0.112 0.573
P7 P 0.248 0.104 0.077
P8 P 0.569 0.441 0.809
P9 P 0.576 0.436 0.315
P10 P 0.591 0.861 0.787
P11 P 0.604 0.995 0.281
P12 P 0.675 0.095 0.097
P13 P 0.692 0.693 0.603
P14 P 0.820 0.552 0.109
P15 P 0.822 0.088 0.601
P16 P 0.995 0.458 0.290
O1 O 0.016 0.147 0.766
O2 O 0.095 0.102 0.111
O3 O 0.095 0.264 0.611
O4 O 0.107 0.569 0.527
O5 O 0.107 0.773 0.367
O6 O 0.110 0.780 0.186
O7 O 0.122 0.575 0.705
O8 O 0.156 0.524 0.878
O9 O 0.156 0.770 0.010
O10 O 0.166 0.432 0.271
O11 O 0.167 0.849 0.780
O12 O 0.235 0.964 0.618
O13 O 0.247 0.253 0.120
O14 O 0.248 0.107 0.468
O15 O 0.248 0.518 0.104
O16 O 0.253 0.690 0.607
O17 O 0.261 0.102 0.972
O18 O 0.288 0.852 0.273
O19 O 0.291 0.295 0.766
O20 O 0.370 0.394 0.613
O21 O 0.387 0.678 0.123
O22 O 0.392 0.103 0.619
O23 O 0.394 0.955 0.123
O24 O 0.422 0.592 0.766
O25 O 0.425 0.445 0.266
O26 O 0.431 0.868 0.764
O27 O 0.446 0.155 0.272
O28 O 0.528 0.255 0.120
O29 O 0.528 0.697 0.614
O30 O 0.560 0.439 0.914
O31 O 0.565 0.441 0.419
O32 O 0.565 0.859 0.280
O33 O 0.569 0.031 0.779
O34 O 0.571 0.291 0.767
O35 O 0.580 0.584 0.270
O36 O 0.649 0.121 0.612
O37 O 0.649 0.696 0.109
O38 O 0.658 0.787 0.879
O39 O 0.661 0.024 0.007
O40 O 0.695 0.975 0.182
O41 O 0.706 0.781 0.521
O42 O 0.708 0.766 0.702
O43 O 0.708 0.982 0.360
O44 O 0.719 0.442 0.768
O45 O 0.721 0.283 0.277
O46 O 0.811 0.397 0.123
O47 O 0.825 0.243 0.612
O48 O 0.825 0.519 0.606
O49 O 0.826 0.110 0.100
O50 O 0.891 0.001 0.512
O51 O 0.893 0.576 0.206
O52 O 0.911 0.978 0.692
O53 O 0.912 0.007 0.871
O54 O 0.916 0.548 0.027
O55 O 0.934 0.536 0.382
O56 O 0.991 0.030 0.277
O57 O 0.996 0.430 0.784
O58 O 0.999 0.301 0.274
```

Output
**ΔE to the lowest computed polymorph**: 8 meV/atom
**Formation energy**: -248.5 kJ per mole of atoms

---

First-principles (GGA+U) data for a geometry-optimized CoH10Se2O10 structure, as listed in the Materials Project database.

```
data_CoH10Se2O10
_symmetry_space_group_name_H-M 'C 1 2/c 1'
_symmetry_Int_Tables_number 15
_symmetry_space_group_name_Hall '-C 2yc'
_cell_length_a 13.418
_cell_length_b 8.788
_cell_length_c 10.772
_cell_angle_alpha 90.00
_cell_angle_beta 122.23
_cell_angle_gamma 90.00
loop_
_atom_site_label
_atom_site_type_symbol
_atom_site_fract_x
_atom_site_fract_y
_atom_site_fract_z
Co1 Co 0.000 0.075 0.250
H1 H 0.047 0.384 0.337
H2 H 0.053 0.355 0.916
H3 H 0.143 0.455 0.589
H4 H 0.207 0.500 0.296
H5 H 0.230 0.490 0.531
Se1 Se 0.167 0.065 0.623
O1 O 0.000 0.217 0.750
O2 O 0.000 0.319 0.250
O3 O 0.026 0.312 0.661
O4 O 0.103 0.084 0.158
O5 O 0.145 0.498 0.506
O6 O 0.148 0.033 0.452
```

Output
**Formation energy**: -90.0 kJ per mole of atoms

---

First-principles (GGA+U) data for a geometry-optimized Li2MnF4 structure, as listed in the Materials Project database.

```
data_Li2MnF4
_symmetry_space_group_name_H-M 'P 1 21/c 1'
_symmetry_Int_Tables_number 14
_symmetry_space_group_name_Hall '-P 2ybc'
_cell_length_a 5.236
_cell_length_b 6.478
_cell_length_c 10.548
_cell_angle_alpha 90.00
_cell_angle_beta 112.64
_cell_angle_gamma 90.00
loop_
_atom_site_label
_atom_site_type_symbol
_atom_site_fract_x
_atom_site_fract_y
_atom_site_fract_z
Li1 Li 0.158 0.018 0.424
Li2 Li 0.160 0.518 0.425
Mn1 Mn 0.499 0.737 0.749
F1 F 0.243 0.014 0.123
F2 F 0.244 0.511 0.123
F3 F 0.250 0.732 0.861
F4 F 0.282 0.232 0.878
```

Output
**ΔE to the lowest computed polymorph**: 10 meV/atom
**Formation energy**: -294.1 kJ per mole of atoms

---

First-principles (GGA+U) data for a geometry-optimized Li3Fe3SbO8 structure, as listed in the Materials Project database.

```
data_Li3Fe3SbO8
_symmetry_space_group_name_H-M 'R -3 m'
_symmetry_Int_Tables_number 166
_symmetry_space_group_name_Hall '-R 3 2"'
_cell_length_a 6.0931
_cell_length_b 6.0931
_cell_length_c 14.9865
_cell_angle_alpha 90.00
_cell_angle_beta 90.00
_cell_angle_gamma 120.00
loop_
_atom_site_label
_atom_site_type_symbol
_atom_site_fract_x
_atom_site_fract_y
_atom_site_fract_z
Li1 Li 0.0000 0.5000 0.0000
Fe1 Fe 0.0000 0.5000 0.5000
Sb1 Sb 0.0000 0.0000 0.5000
O1 O 0.0000 0.0000 0.2410
O2 O 0.0160 0.5080 0.2406
```

Output
**ΔE to the lowest computed polymorph**: 26 meV/atom
**Formation energy**: -181.3 kJ per mole of atoms

---

First-principles (GGA+U) data for a geometry-optimized Li3V5O8 structure, as listed in the Materials Project database.

```
data_Li3V5O8
_symmetry_space_group_name_H-M 'R -3 m'
_symmetry_Int_Tables_number 166
_symmetry_space_group_name_Hall '-R 3 2"'
_cell_length_a 6.0728
_cell_length_b 6.0728
_cell_length_c 14.8725
_cell_angle_alpha 90.00
_cell_angle_beta 90.00
_cell_angle_gamma 120.00
loop_
_atom_site_label
_atom_site_type_symbol
_atom_site_fract_x
_atom_site_fract_y
_atom_site_fract_z
Li1 Li 0.0000 0.5000 0.0000
V1 V 0.0000 0.0000 0.0000
V2 V 0.0000 0.0000 0.5000
V3 V 0.0000 0.5000 0.5000
O1 O 0.0000 0.0000 0.2428
O2 O 0.0131 0.5065 0.7567
```

Output
**Formation energy**: -228.2 kJ per mole of atoms

---

First-principles (GGA+U) data for a geometry-optimized V6CuO15 structure, as listed in the Materials Project database.

```
data_V6CuO15
_symmetry_space_group_name_H-M 'P -1'
_symmetry_Int_Tables_number 2
_symmetry_space_group_name_Hall '-P 1'
_cell_length_a 7.372
_cell_length_b 7.964
_cell_length_c 10.323
_cell_angle_alpha 73.08
_cell_angle_beta 90.00
_cell_angle_gamma 76.67
loop_
_atom_site_label
_atom_site_type_symbol
_atom_site_fract_x
_atom_site_fract_y
_atom_site_fract_z
V1 V 0.056 0.272 0.116
V2 V 0.143 0.934 0.405
V3 V 0.166 0.832 0.096
V4 V 0.334 0.163 0.909
V5 V 0.357 0.074 0.594
V6 V 0.442 0.728 0.881
Cu1 Cu 0.237 0.555 0.637
O1 O 0.000 0.500 0.000
O2 O 0.038 0.297 0.269
O3 O 0.085 0.131 0.955
O4 O 0.120 0.013 0.573
O5 O 0.129 0.981 0.221
O6 O 0.185 0.764 0.921
O7 O 0.198 0.710 0.465
O8 O 0.219 0.636 0.208
O9 O 0.285 0.367 0.792
O10 O 0.302 0.293 0.542
O11 O 0.316 0.235 0.083
O12 O 0.371 0.015 0.776
O13 O 0.376 0.989 0.427
O14 O 0.396 0.884 0.041
O15 O 0.437 0.697 0.731
O16 O 0.500 0.500 0.000
```

Output
**Formation energy**: -212.1 kJ per mole of atoms

---

First-principles (GGA+U) data for a geometry-optimized Cs2CrH4F10 structure, as listed in the Materials Project database.

```
data_Cs2CrH4F10
_symmetry_space_group_name_H-M 'P 1 21/c 1'
_symmetry_Int_Tables_number 14
_symmetry_space_group_name_Hall '-P 2ybc'
_cell_length_a 7.771
_cell_length_b 7.220
_cell_length_c 10.707
_cell_angle_alpha 90.00
_cell_angle_beta 117.30
_cell_angle_gamma 90.00
loop_
_atom_site_label
_atom_site_type_symbol
_atom_site_fract_x
_atom_site_fract_y
_atom_site_fract_z
Cs1 Cs 0.140 0.216 0.165
Cr1 Cr 0.500 0.000 0.000
H1 H 0.281 0.704 0.232
H2 H 0.340 0.597 0.005
F1 F 0.160 0.726 0.677
F2 F 0.236 0.505 0.971
F3 F 0.241 0.035 0.938
F4 F 0.448 0.589 0.319
F5 F 0.480 0.739 0.555
```

Output
**Formation energy**: -235.4 kJ per mole of atoms